Sr5Ga6O14 (PBE, optimized geometry); SG = P2_1/c, No. 14; formation energy = -6574 kJ/mol of formula units; energy with MP2020 corrections = -328.04 eV for the cell shown
1.0
8.2849 0.0000 0.0000
0.0000 8.2809 0.0000
0.0000 0.4435 10.9954
O Ga Sr
28 12 10
Cartesian
0.4849 5.2615 9.6535
6.7847 1.1313 7.2714
5.9710 7.5885 4.4586
1.8285 0.9142 1.0391
3.5013 1.5155 3.7237
2.1693 5.7667 7.0265
4.8229 6.4602 1.6498
7.6045 6.6820 7.1475
7.8001 3.4630 1.3419
3.4620 2.2642 9.3457
8.2012 3.8018 6.9775
6.3118 3.1795 9.4666
1.9732 5.5450 1.5288
6.1156 2.9578 3.9689
2.6422 7.8149 9.2217
2.3140 1.1360 6.5368
7.6438 6.9872 1.7740
3.6576 5.0397 4.1558
0.6804 2.0425 3.8480
6.4564 7.8103 9.9563
0.6412 1.7373 9.2214
4.2262 3.5801 1.4798
4.6273 3.6847 6.8397
5.6427 0.9095 1.7737
1.5003 7.5932 3.7240
0.0838 4.9227 4.0179
4.7836 7.2090 7.2717
4.0587 5.1444 9.5156
3.6552 5.1788 2.3401
0.7143 6.1644 2.7893
0.4872 5.4006 7.8379
7.5706 2.5601 8.2061
2.2489 1.2032 8.3632
6.0361 7.5213 2.6322
3.4281 6.3861 8.2871
6.3913 7.7430 8.1299
4.8568 2.3384 2.7084
7.7977 3.3239 3.1576
1.8936 0.9814 2.8655
4.6297 3.5457 8.6553
7.5227 1.3445 0.3275
2.0960 3.6025 5.4705
0.0000 0.2218 5.4977
4.9048 1.5662 5.8252
6.2385 4.9002 0.0272
4.1425 0.0000 0.0000
6.1889 5.1220 5.5249
2.0465 3.8243 10.9682
0.7623 7.3800 10.6680
3.3802 7.1582 5.1703

Sr3Ga2O6 (PBE, optimized geometry); SG = Pa-3, No. 205; formation energy = -2991 kJ/mol of formula units; energy with MP2020 corrections = -1723.40 eV for the cell shown
1.0
-11.9425 10.0476 -4.7190
-10.6185 -8.3200 9.1581
3.2355 9.7811 12.6375
Ga Sr O
48 72 144
Cartesian
-17.2900 6.8067 15.0696
-15.2147 6.3552 9.4256
-10.5098 3.0566 5.6224
-16.4781 13.3060 14.7010
-6.5122 3.5361 9.8234
-0.3881 5.0748 11.6022
-13.8230 4.0836 16.1939
-11.7780 -0.6604 14.4196
-5.5025 7.4251 0.8827
-19.8060 9.0718 13.7884
-1.1910 3.1236 8.6611
-10.9810 13.1019 13.3323
-5.6571 5.4873 12.8446
-9.7534 10.3872 4.9066
-18.9374 6.4340 5.4744
-18.1345 8.3852 8.4155
-12.0460 3.6293 11.0488
-2.8326 3.4640 13.8597
-17.4548 11.2186 11.9098
-6.2528 10.4209 9.6592
-8.4856 15.0036 11.5272
-16.4929 8.0448 3.2170
-1.8707 0.2901 5.1668
-11.5901 5.8725 13.8528
-11.3600 1.6584 17.2682
-5.3786 0.5372 1.0305
-13.9469 10.9715 16.0462
-2.0355 4.7020 2.0071
-13.0727 1.0878 7.4174
-16.2468 8.9054 17.9285
-7.7383 0.8731 6.4306
-5.6231 12.8002 12.3133
-7.5475 12.1692 2.6571
-10.8399 -3.4949 5.5494
-12.8133 7.9726 7.2533
-7.2795 7.8794 6.0278
-8.3445 -1.5932 3.7443
-11.5872 10.6356 10.6460
-7.9655 9.8503 -0.1915
-8.8157 8.4522 11.4542
-13.7024 -1.2915 4.7634
-4.1108 5.1536 7.6510
-13.6684 6.0214 4.2320
-2.8474 -1.7973 2.3756
-3.0787 2.6034 -0.8519
0.4805 2.4369 3.2882
-7.7354 5.6362 3.2238
-9.5721 1.1215 12.1700
-0.9460 6.4140 8.3540
-3.6915 0.7306 10.8978
-17.6364 7.7542 11.6581
-5.3438 4.6002 16.1773
-16.3475 0.2721 6.6415
1.6178 4.8906 6.3188
-9.6628 5.7544 8.5383
-10.1312 -1.3006 8.9033
-7.6492 -2.5810 6.8302
-9.2602 9.3339 8.2909
-12.8868 4.6606 7.3362
-8.4703 6.3299 -0.1044
-13.9960 7.4146 16.0068
-4.8715 2.9011 4.3046
-9.1943 12.8094 8.1733
-8.9632 4.5323 11.8630
-5.9826 2.1845 12.9659
-15.5749 2.5752 9.9057
-4.2643 1.8369 7.7216
-15.0612 9.6718 9.3550
-13.3429 9.3242 4.1107
-12.5849 0.2104 11.1108
-14.4540 8.6076 12.7720
-8.9060 16.4237 7.9980
-3.2096 7.8262 10.5853
-10.8552 5.1789 17.1811
-12.1125 7.2133 10.7030
-6.7406 11.2983 5.9659
-6.0864 13.9497 9.2399
-16.1159 3.6825 6.4913
-7.8594 2.4852 18.5762
-16.8465 4.7501 3.2627
-10.4195 -4.9149 9.0786
-5.3093 -4.1600 4.5790
-11.1380 9.6746 13.7930
-14.1036 12.0680 12.7489
-13.6047 2.1960 4.3323
-11.0946 4.2639 2.0069
-7.2130 4.2955 6.3736
-4.6611 6.5201 4.1163
-13.9817 6.9085 0.8993
-11.4661 9.0235 -1.4996
-13.2391 -2.4409 7.8368
-10.0653 2.1749 8.7857
-11.2805 0.8638 2.2196
-10.8562 7.8842 1.8926
-2.9780 11.2366 10.4352
-10.5671 11.3358 1.5759
-5.7208 9.3128 12.7443
-11.6763 14.0897 10.2465
-8.4693 3.6245 15.1840
-8.1875 1.8341 3.2836
-9.7467 13.8497 4.9609
-2.4790 6.7586 13.8139
-14.6644 4.9886 12.9603
0.0897 8.8713 11.6805
-9.5788 -2.3409 12.1157
-8.2309 7.2449 15.0697
-5.9713 5.0238 -2.3595
0.0000 0.0000 0.0000
-6.4387 6.8481 9.7404
-18.3795 5.0947 8.7227
-8.7584 0.1729 15.5008
-3.7506 8.9335 7.1709
-5.2219 -0.5592 4.3277
-1.6891 3.7546 5.4186
-12.5258 11.8162 7.1284
-19.4152 2.6374 5.3961
-5.3295 4.0942 1.0698
-4.3535 9.9143 3.9593
-6.7997 -0.3074 9.9482
-10.3623 6.9764 5.2136
-1.3164 9.2719 9.7309
-9.1440 2.8246 20.6688
-10.5617 14.7649 7.3305
-15.2772 11.9330 8.3626
-8.7638 -3.2562 9.7461
-11.7939 -2.0496 10.6579
-3.1494 1.5659 5.4947
-8.3154 3.7911 9.4188
-12.5393 3.1366 17.1852
-6.3548 15.9066 7.6084
-10.1815 8.6841 -3.5921
-10.3060 -0.1393 13.3760
-13.7739 11.6729 4.7756
-14.2403 4.4994 5.0843
-7.6998 -0.2056 4.8741
-4.0483 -0.4242 8.7140
-7.0940 3.9658 3.7290
-15.0626 0.2156 11.0388
-8.1248 6.3554 -2.5447
-6.9401 5.3765 14.1857
-12.0780 2.3902 6.4676
-21.6768 3.2957 6.1680
-14.6938 9.6714 17.2013
-8.8713 6.7273 10.7456
-5.7067 4.6180 8.5164
-13.6362 9.6002 7.1015
-10.2678 11.5703 6.2455
-12.8972 7.1574 5.5370
-9.2795 -6.7081 7.8022
-2.6349 -1.0690 4.0937
-6.0963 -2.6021 8.8677
-16.5724 3.4436 12.6182
-6.9500 -4.8992 6.3698
-1.1573 8.5436 6.9455
-10.4542 4.7814 6.3310
-6.1702 1.8459 6.2031
1.5025 6.6263 8.1678
-15.1240 6.7601 3.2737
-10.0945 14.4287 12.3418
-3.5571 6.7463 8.3767
-16.0150 1.9814 4.6204
-11.8772 13.1754 2.5630
-12.3074 11.2101 -0.3000
-12.9800 9.2471 1.7022
-10.8355 2.1735 11.2291
-20.8280 4.8824 8.9088
2.3513 8.2130 10.9086
-10.0076 5.5154 14.7119
-9.3483 1.9766 1.0980
-1.0182 8.8478 14.0680
-13.1176 2.5276 1.9246
-7.5316 13.5583 6.4187
-18.1682 2.9652 10.1311
-8.4900 9.3352 5.8475
-6.3455 2.2616 15.3744
-4.2015 4.7486 13.8029
-7.7195 4.6099 17.3910
-3.8240 13.5993 8.3268
-18.1353 4.7848 5.5576
-11.5491 4.2725 9.3696
-9.6591 9.2720 0.2175
-3.3105 9.5274 12.4562
-14.6768 6.6529 11.1803
-10.6625 2.6559 3.8433
-11.6257 11.7144 12.2025
-13.1553 9.6629 10.8735
-18.3073 2.6610 3.0086
-4.2629 11.2932 6.0379
-13.6188 6.8907 8.5602
-5.0852 7.0093 11.9923
-9.0577 -0.0616 10.8312
-2.7531 8.0651 4.4584
-16.6906 12.5777 12.9829
-9.9772 9.5321 15.9786
-9.6664 2.2367 16.8591
-10.3651 9.1909 10.6921
-12.3854 6.1322 2.8909
-10.8431 9.2455 3.9691
-11.2007 5.1533 19.6213
-18.0091 2.2368 7.3457
-6.3258 6.2177 2.1000
-5.6204 8.5205 5.5969
-13.2292 14.1109 8.2090
-18.7029 7.5789 14.0745
-0.6226 3.9298 3.0022
-18.9396 7.1925 7.2086
-12.9997 5.2910 14.9766
-9.0195 11.6480 3.7006
-2.6701 3.9305 7.7787
-4.6757 9.4836 9.3573
-5.1277 -2.1916 6.1720
-8.4824 2.2633 13.1075
-9.1836 7.0908 17.5185
-8.6630 8.8528 13.2334
-7.4483 -1.6666 14.5136
-4.6487 4.8558 5.8964
-10.1419 4.4180 -0.4419
-12.9707 -4.3979 9.4683
-5.6893 1.9085 9.9751
-3.5115 7.3110 15.9827
-15.8140 4.1978 1.0939
-4.6317 1.8373 -0.1247
-12.2315 7.5429 13.3477
-7.7764 7.2362 7.7070
-10.7476 -3.1346 7.3471
-8.1650 -0.2098 7.8502
-6.4283 4.3513 11.5397
-16.6554 7.5782 9.2980
-9.2310 -2.9200 4.7349
-14.1978 13.7003 10.9046
-6.7862 8.3721 -0.1086
-5.5366 11.8204 10.7133
-13.5032 10.1602 14.4603
-0.3859 4.3162 9.8680
-11.6060 6.8988 -0.3144
-7.3587 11.1514 8.3890
-14.6498 2.0251 7.7193
-0.6262 5.9487 5.7802
-18.6993 5.5600 11.2964
-6.2079 8.9812 15.1520
-11.5398 5.0735 12.1376
-11.1605 11.7186 9.2265
-7.7857 6.4352 4.9390
-11.9668 0.3573 8.6876
-12.0474 7.5051 17.5134
-9.3179 5.9933 2.3648
-15.7684 4.7624 8.6999
-8.5779 14.6433 9.7295
-15.5015 -2.0906 8.7499
-11.0101 7.7177 7.6578
-1.1902 6.7240 11.5190
-12.3755 16.4079 10.7068
-13.7051 2.9882 11.4797
-3.5838 4.5627 2.9834
-7.2781 4.0037 -0.4368
-15.7417 6.9460 14.0932
-7.0181 0.2986 17.3766
-16.1761 9.9429 11.5819
-5.5516 -0.1642 12.3011
-10.0460 18.2168 9.2745
-13.7889 -0.3117 6.3633
-8.9604 2.3178 6.3845
-5.8223 1.3485 2.6163
-7.2475 9.1185 10.6090

Sr2TaGaO6 (PBE, optimized geometry); SG = I4/m, No. 87; formation energy = -3066 kJ/mol of formula units; energy with MP2020 corrections = -79.73 eV for the cell shown
1.0
-2.8099 2.8099 4.0109
2.8099 -2.8099 4.0109
2.8099 2.8099 -4.0109
Ta Sr O Ga
1 2 6 1
Cartesian
0.0000 0.0000 4.0109
2.8099 0.0000 2.0054
0.0000 2.8099 2.0054
0.0000 0.0000 2.0123
1.2286 4.0316 0.0000
1.5882 1.2286 0.0000
1.5813 -1.2217 4.0109
1.2217 1.5813 4.0109
0.0000 0.0000 6.0094
0.0000 0.0000 0.0000

Sr3TiGa10O20 (PBE, optimized geometry); SG = C2/m, No. 12; formation energy = -8543 kJ/mol of formula units; energy with MP2020 corrections = -230.74 eV for the cell shown
1.0
5.9126 7.8573 0.0000
-5.9126 7.8573 0.0000
0.0000 1.6516 4.8823
O Ga Ti Sr
20 10 1 3
Cartesian
-1.6476 13.5175 0.0712
1.5964 12.7100 3.1785
-2.9242 10.0778 2.8071
2.9242 7.2884 2.0752
2.9242 10.0778 2.8071
1.6476 3.8487 4.8111
-2.9242 7.2884 2.0752
-1.6476 3.8487 4.8111
-1.5964 12.7100 3.1785
0.0000 9.9138 2.9836
1.3916 9.2093 0.5227
-1.3916 9.2093 0.5227
-1.3916 8.1569 4.3596
1.3916 8.1569 4.3596
0.0000 7.4524 1.8987
0.0000 2.3008 2.4597
0.0000 15.0654 2.4226
1.5964 4.6562 1.7038
1.6476 13.5175 0.0712
-1.5964 4.6562 1.7038
1.6012 14.5525 3.1940
-1.6012 2.8136 1.6883
-2.5637 11.4323 4.0725
-2.5637 5.9339 0.8098
1.6012 2.8136 1.6883
1.5968 8.6831 2.4411
2.5637 5.9339 0.8098
-1.6012 14.5525 3.1940
2.5637 11.4323 4.0725
-1.5968 8.6831 2.4411
0.0000 7.8573 0.0000
0.0000 11.8260 1.3998
0.0000 5.5401 3.4825
0.0000 0.0000 0.0000

Sr3Ti3Ga8O20 (PBE, optimized geometry); SG = C2/m, No. 12; formation energy = -9050 kJ/mol of formula units; energy with MP2020 corrections = -245.73 eV for the cell shown
1.0
5.9066 7.8981 0.0000
-5.9066 7.8981 0.0000
0.0000 1.6554 4.9007
Sr Ga O Ti
3 8 20 3
Cartesian
0.0000 13.4222 3.5046
0.0000 7.8981 0.0000
0.0000 4.0293 1.3960
1.5969 10.7342 1.6980
-1.5969 10.7342 1.6980
-3.3364 11.5037 4.0793
-1.5969 6.7174 3.2026
1.5969 6.7174 3.2026
3.3364 5.9479 0.8213
3.3364 11.5037 4.0793
-3.3364 5.9479 0.8213
-1.5929 12.5773 1.7145
4.4977 9.2763 0.5277
0.0000 2.0986 2.9417
-4.4977 8.1752 4.3730
1.5929 4.8743 3.1862
2.9849 7.3127 2.0838
0.0000 15.3530 1.9590
1.5929 12.5773 1.7145
-1.5929 4.8743 3.1862
-1.6425 11.7713 4.8381
1.6425 5.6802 0.0626
2.9849 10.1388 2.8169
-1.6425 5.6802 0.0626
-2.9849 10.1388 2.8169
-4.4977 9.2763 0.5277
0.0000 7.2380 2.4281
0.0000 10.2136 2.4726
4.4977 8.1752 4.3730
1.6425 11.7713 4.8381
-2.9849 7.3127 2.0838
-4.4090 8.7258 2.4503
4.4090 8.7258 2.4503
0.0000 0.0000 0.0000

Sr2YTi2GaO7 (PBE, optimized geometry); SG = Ima2, No. 46; formation energy = -3811 kJ/mol of formula units; energy with MP2020 corrections = -205.60 eV for the cell shown
1.0
-11.1683 1.2367 5.0240
-8.9563 8.1956 2.0293
8.3824 -5.7431 -6.9464
Ga Y O Sr Ti
2 2 14 4 4
Cartesian
3.5680 -3.1620 -4.8629
-15.2670 6.6660 5.3409
-1.3937 -2.2501 -0.9675
-0.2877 1.2293 -2.4648
-5.1242 0.9170 -2.1988
-8.1521 5.8141 2.2788
-11.9887 3.6144 4.7332
-2.1874 0.1022 -1.2364
-2.4622 1.3480 -3.6866
-6.6459 2.8911 2.0671
0.5296 -1.1353 -2.2005
-0.8838 -3.3896 -3.1301
-8.0606 2.2933 -1.1697
-12.2633 4.8607 2.2832
-5.0381 4.4280 -1.0246
-9.5653 3.5601 1.3494
-6.8368 -0.1720 -0.0053
-3.7096 1.5148 1.0379
-3.4631 2.5618 -1.3804
-7.2982 4.3593 -0.0362
-4.4364 -0.7029 0.2086
-8.2715 1.0946 1.5527
-11.2809 5.2855 3.9495
-1.2158 0.5739 0.4248
-8.8444 4.1493 3.0985
-18.9095 8.8610 6.6232

- Number 5 is which compound?
  Sr3Ti3Ga8O20